[1]
The following is a DFT calculation (PBE) of a relaxed Ti8Cu3Ni crystal.

Results
V, Å³/atom: 15.196
Formation enthalpy at 0 K, meV/atom: -161
Space-group type: P4/mmm (123)
Final energy, eV/atom: -6.931

Cell: 2.9425 2.9425 21.0611 Å, 90.00 90.00 90.00°
Fractional coordinates of all 12 atoms:
Ti1 0.0000 0.0000 0.0766
Ti2 0.0000 0.0000 0.4189
Ti3 0.0000 0.0000 0.5811
Ti4 0.0000 0.0000 0.9234
Ti5 0.5000 0.5000 0.1665
Ti6 0.5000 0.5000 0.3310
Ti7 0.5000 0.5000 0.6690
Ti8 0.5000 0.5000 0.8335
Cu1 0.0000 0.0000 0.2497
Cu2 0.0000 0.0000 0.7503
Cu3 0.5000 0.5000 0.5000
Ni1 0.5000 0.5000 0.0000


[2]
The following is a DFT calculation (PBE) of a relaxed LiGdGe crystal.

Results
V, Å³/atom: 21.187
Formation enthalpy at 0 K, meV/atom: -711
Space-group type: P-62m (189)
Final energy, eV/atom: -7.581

Cell: 7.1516 7.1516 4.3051 Å, 90.00 90.00 120.00°
Fractional coordinates of all 9 atoms:
Li1 0.0000 0.2327 0.0000
Li2 0.2327 0.0000 0.0000
Li3 0.7673 0.7673 0.0000
Gd1 0.0000 0.5774 0.5000
Gd2 0.4226 0.4226 0.5000
Gd3 0.5774 0.0000 0.5000
Ge1 0.0000 0.0000 0.5000
Ge2 0.3333 0.6667 0.0000
Ge3 0.6667 0.3333 0.0000